A plane-wave DFT calculation with GGA+U was carried out for a geometry-optimized SrPr3CrNiO8 structure.

CIF file:
```
data_SrPr3CrNiO8
_cell_length_a 5.504
_cell_length_b 5.508
_cell_length_c 12.443
_cell_angle_alpha 90.00
_cell_angle_beta 90.00
_cell_angle_gamma 90.00
_space_group_name_H-M_alt 'A m m 2'
_space_group_IT_number 38
loop_
_space_group_symop_operation_xyz
'x,y,z'
'-x,-y,z'
'-x,y,z'
'x,-y,z'
'x,y+1/2,z+1/2'
'-x,-y+1/2,z+1/2'
'-x,y+1/2,z+1/2'
'x,-y+1/2,z+1/2'
loop_
_atom_site_label
_atom_site_fract_x
_atom_site_fract_y
_atom_site_fract_z
_atom_site_occupancy
Sr1 0.000 0.000 0.000 1
Pr1 0.000 0.000 0.278 1
Pr2 0.500 0.000 0.506 1
Pr3 0.500 0.000 0.781 1
Cr1 0.000 0.000 0.642 1
Ni1 0.500 0.000 0.140 1
O1 0.000 0.000 0.470 1
O2 0.000 0.000 0.806 1
O3 0.252 0.245 0.647 1
O4 0.500 0.000 0.321 1
O5 0.500 0.000 0.967 1
```

Output
Uncorrected energy = -0.272 Ha/atom
Energy with MP2020 corrections = -8.1096 eV per atom

=====

A plane-wave DFT calculation with GGA+U was carried out for a geometry-optimized Li7Mn5O12 structure.

CIF file:
```
data_Li7Mn5O12
_cell_length_a 2.9957
_cell_length_b 2.9957
_cell_length_c 29.5301
_cell_angle_alpha 90.00
_cell_angle_beta 90.00
_cell_angle_gamma 120.00
_space_group_name_H-M_alt 'P -3 m 1'
_space_group_IT_number 164
_space_group_name_Hall '-P 3 2"'
loop_
_atom_site_label
_atom_site_fract_x
_atom_site_fract_y
_atom_site_fract_z
_atom_site_occupancy
Li1 0.0000 0.0000 0.0000 1
Li2 0.0000 0.0000 0.2503 1
Li3 0.3333 0.6667 0.4166 1
Li4 0.3333 0.6667 0.9249 1
Mn1 0.0000 0.0000 0.5000 1
Mn2 0.3333 0.6667 0.1668 1
Mn3 0.3333 0.6667 0.6667 1
O1 0.0000 0.0000 0.1332 1
O2 0.0000 0.0000 0.3712 1
O3 0.3333 0.6667 0.0429 1
O4 0.3333 0.6667 0.2953 1
O5 0.3333 0.6667 0.5378 1
O6 0.3333 0.6667 0.7952 1
```

Output
Uncorrected energy = -0.228 Ha/atom
E above lowest polymorph = 4.571 kcal/mol of atoms
Energy with MP2020 corrections = -6.8981 eV per atom

=====

A plane-wave DFT calculation with GGA+U was carried out for a geometry-optimized MgZn2Co2P2O10 structure.

CIF file:
```
data_MgZn2Co2P2O10
_cell_length_a 5.541
_cell_length_b 5.544
_cell_length_c 7.335
_cell_angle_alpha 107.29
_cell_angle_beta 110.50
_cell_angle_gamma 90.41
_space_group_name_H-M_alt 'P -1'
_space_group_IT_number 2
loop_
_space_group_symop_operation_xyz
'x,y,z'
'-x,-y,-z'
loop_
_atom_site_label
_atom_site_fract_x
_atom_site_fract_y
_atom_site_fract_z
_atom_site_occupancy
Mg1 0.000 0.000 0.000 1
Zn1 0.374 0.434 0.272 1
Co1 0.500 0.000 0.000 1
Co2 0.500 0.000 0.500 1
P1 0.136 0.403 0.764 1
O1 0.157 0.684 0.369 1
O2 0.179 0.697 0.861 1
O3 0.211 0.270 0.935 1
O4 0.312 0.321 0.637 1
O5 0.364 0.082 0.236 1
```

Output
Uncorrected energy = -0.229 Ha/atom
E above lowest polymorph = 0.000 kcal/mol of atoms
Energy with MP2020 corrections = -6.8293 eV per atom

=====

A plane-wave DFT calculation with GGA+U was carried out for a geometry-optimized Sr4Cr3O9 structure.

CIF file:
```
data_Sr4Cr3O9
_cell_length_a 9.7474
_cell_length_b 9.7474
_cell_length_c 7.9413
_cell_angle_alpha 90.00
_cell_angle_beta 90.00
_cell_angle_gamma 120.00
_space_group_name_H-M_alt 'P 3'
_space_group_IT_number 143
loop_
_space_group_symop_operation_xyz
'x,y,z'
'-y,x-y,z'
'-x+y,-x,z'
loop_
_atom_site_label
_atom_site_fract_x
_atom_site_fract_y
_atom_site_fract_z
_atom_site_occupancy
Sr1 0.0010 0.3561 0.0000 1
Sr2 0.0071 0.6595 0.7402 1
Sr3 0.0261 0.6936 0.2457 1
Sr4 0.3357 0.0299 0.4926 1
Cr1 0.0000 0.0000 0.0160 1
Cr2 0.0000 0.0000 0.3557 1
Cr3 0.0000 0.0000 0.6836 1
Cr4 0.3333 0.6667 0.1464 1
Cr5 0.3333 0.6667 0.4874 1
Cr6 0.3333 0.6667 0.8239 1
Cr7 0.6667 0.3333 0.2515 1
Cr8 0.6667 0.3333 0.5880 1
Cr9 0.6667 0.3333 0.9112 1
O1 0.0029 0.8421 0.5195 1
O2 0.0465 0.1701 0.8364 1
O3 0.1683 0.0224 0.1954 1
O4 0.1743 0.6734 0.9866 1
O5 0.1753 0.5165 0.3121 1
O6 0.1798 0.5151 0.6570 1
O7 0.5044 0.1790 0.7540 1
O8 0.5054 0.3174 0.0656 1
O9 0.5229 0.3579 0.4287 1
```

Output
Uncorrected energy = -0.257 Ha/atom
Energy with MP2020 corrections = -7.7466 eV per atom

=====

A plane-wave DFT calculation with GGA+U was carried out for a geometry-optimized Ni3AgP3H2O12 structure.

CIF file:
```
data_Ni3AgP3H2O12
_cell_length_a 11.953
_cell_length_b 12.195
_cell_length_c 6.514
_cell_angle_alpha 90.00
_cell_angle_beta 113.85
_cell_angle_gamma 90.00
_space_group_name_H-M_alt 'C 1 2/c 1'
_space_group_IT_number 15
loop_
_space_group_symop_operation_xyz
'x,y,z'
'-x,-y,-z'
'-x,y,-z+1/2'
'x,-y,z+1/2'
'x+1/2,y+1/2,z'
'-x+1/2,-y+1/2,-z'
'-x+1/2,y+1/2,-z+1/2'
'x+1/2,-y+1/2,z+1/2'
loop_
_atom_site_label
_atom_site_fract_x
_atom_site_fract_y
_atom_site_fract_z
_atom_site_occupancy
Ni1 0.000 0.225 0.250 1
Ni2 0.212 0.338 0.123 1
Ag1 0.000 0.460 0.750 1
P1 0.000 0.181 0.750 1
P2 0.222 0.387 0.613 1
H1 0.115 0.007 0.308 1
O1 0.035 0.256 0.963 1
O2 0.108 0.106 0.767 1
O3 0.138 0.093 0.343 1
O4 0.158 0.327 0.386 1
O5 0.163 0.500 0.105 1
O6 0.218 0.318 0.809 1
```

Output
Uncorrected energy = -0.224 Ha/atom
Energy with MP2020 corrections = -6.8573 eV per atom

=====

A plane-wave DFT calculation with GGA+U was carried out for a geometry-optimized NaYFe4O12 structure.

CIF file:
```
data_NaYFe4O12
_cell_length_a 5.371
_cell_length_b 5.371
_cell_length_c 7.622
_cell_angle_alpha 90.00
_cell_angle_beta 90.00
_cell_angle_gamma 90.00
_space_group_name_H-M_alt 'P 4/m m m'
_space_group_IT_number 123
_space_group_name_Hall '-P 4 2'
loop_
_atom_site_label
_atom_site_fract_x
_atom_site_fract_y
_atom_site_fract_z
_atom_site_occupancy
Na1 0.000 0.000 0.000 1
Y1 0.500 0.500 0.500 1
Fe1 0.000 0.500 0.245 1
O1 0.000 0.500 0.000 1
O2 0.000 0.500 0.500 1
O3 0.261 0.261 0.268 1
```

Output
Uncorrected energy = -0.222 Ha/atom
Energy with MP2020 corrections = -6.9991 eV per atom

=====

A plane-wave DFT calculation with GGA+U was carried out for a geometry-optimized SrLa3CoNiO8 structure.

CIF file:
```
data_SrLa3CoNiO8
_cell_length_a 5.464
_cell_length_b 5.512
_cell_length_c 12.706
_cell_angle_alpha 90.00
_cell_angle_beta 90.00
_cell_angle_gamma 90.00
_space_group_name_H-M_alt 'A m m 2'
_space_group_IT_number 38
loop_
_space_group_symop_operation_xyz
'x,y,z'
'-x,-y,z'
'-x,y,z'
'x,-y,z'
'x,y+1/2,z+1/2'
'-x,-y+1/2,z+1/2'
'-x,y+1/2,z+1/2'
'x,-y+1/2,z+1/2'
loop_
_atom_site_label
_atom_site_fract_x
_atom_site_fract_y
_atom_site_fract_z
_atom_site_occupancy
Sr1 0.000 0.000 0.000 1
La1 0.000 0.000 0.280 1
La2 0.500 0.000 0.504 1
La3 0.500 0.000 0.783 1
Co1 0.500 0.000 0.139 1
Ni1 0.000 0.000 0.640 1
O1 0.000 0.000 0.463 1
O2 0.000 0.000 0.810 1
O3 0.260 0.249 0.645 1
O4 0.500 0.000 0.320 1
O5 0.500 0.000 0.968 1
```

Output
Uncorrected energy = -0.263 Ha/atom
Energy with MP2020 corrections = -7.8454 eV per atom

=====

A plane-wave DFT calculation with GGA+U was carried out for a geometry-optimized Na2LiNi3O6 structure.

CIF file:
```
data_Na2LiNi3O6
_cell_length_a 3.022
_cell_length_b 6.203
_cell_length_c 6.739
_cell_angle_alpha 72.30
_cell_angle_beta 77.83
_cell_angle_gamma 86.50
_space_group_name_H-M_alt 'P -1'
_space_group_IT_number 2
loop_
_space_group_symop_operation_xyz
'x,y,z'
'-x,-y,-z'
loop_
_atom_site_label
_atom_site_fract_x
_atom_site_fract_y
_atom_site_fract_z
_atom_site_occupancy
Na1 0.165 0.331 0.169 1
Li1 0.500 0.000 0.500 1
Ni1 0.168 0.837 0.168 1
Ni2 0.500 0.500 0.500 1
O1 0.045 0.741 0.474 1
O2 0.296 0.939 0.857 1
O3 0.375 0.393 0.803 1
```

Output
Uncorrected energy = -0.173 Ha/atom
E above lowest polymorph = 0.000 kcal/mol of atoms
Energy with MP2020 corrections = -5.6729 eV per atom

=====

A plane-wave DFT calculation with GGA+U was carried out for a geometry-optimized Co3GeC10O10 structure.

CIF file:
```
data_Co3GeC10O10
_cell_length_a 8.796
_cell_length_b 9.282
_cell_length_c 22.208
_cell_angle_alpha 95.67
_cell_angle_beta 96.67
_cell_angle_gamma 117.70
_space_group_name_H-M_alt 'P -1'
_space_group_IT_number 2
loop_
_space_group_symop_operation_xyz
'x,y,z'
'-x,-y,-z'
loop_
_atom_site_label
_atom_site_fract_x
_atom_site_fract_y
_atom_site_fract_z
_atom_site_occupancy
Co1 0.018 0.245 0.362 1
Co2 0.164 0.942 0.885 1
Co3 0.213 0.880 0.571 1
Co4 0.342 0.255 0.735 1
Co5 0.406 0.236 0.930 1
Co6 0.481 0.914 0.246 1
Ge1 0.262 0.988 0.679 1
Ge2 0.343 0.122 0.822 1
C1 0.014 0.016 0.136 1
C2 0.020 0.915 0.582 1
C3 0.054 0.616 0.665 1
C4 0.099 0.867 0.954 1
C5 0.100 0.743 0.500 1
C6 0.122 0.184 0.310 1
C7 0.122 0.761 0.837 1
C8 0.140 0.234 0.747 1
C9 0.198 0.391 0.419 1
C10 0.298 0.777 0.189 1
C11 0.311 0.361 0.907 1
C12 0.351 0.064 0.546 1
C13 0.352 0.793 0.593 1
C14 0.360 0.238 0.006 1
C15 0.360 0.323 0.664 1
C16 0.366 0.634 0.057 1
C17 0.369 0.864 0.309 1
C18 0.407 0.029 0.924 1
C19 0.472 0.887 0.766 1
C20 0.482 0.561 0.219 1
O1 0.010 0.232 0.753 1
O2 0.026 0.654 0.453 1
O3 0.049 0.009 0.434 1
O4 0.061 0.821 0.999 1
O5 0.082 0.634 0.808 1
O6 0.099 0.525 0.680 1
O7 0.131 0.992 0.146 1
O8 0.173 0.690 0.153 1
O9 0.202 0.154 0.278 1
O10 0.218 0.543 0.043 1
O11 0.253 0.445 0.894 1
O12 0.292 0.829 0.349 1
O13 0.312 0.480 0.459 1
O14 0.329 0.243 0.055 1
O15 0.366 0.442 0.190 1
O16 0.368 0.378 0.619 1
O17 0.442 0.738 0.606 1
O18 0.444 0.173 0.525 1
O19 0.452 0.759 0.774 1
O20 0.496 0.025 0.066 1
```

Output
Uncorrected energy = -0.266 Ha/atom
Energy with MP2020 corrections = -7.7347 eV per atom

=====

A plane-wave DFT calculation with GGA+U was carried out for a geometry-optimized K4CoMo3O12 structure.

CIF file:
```
data_K4CoMo3O12
_cell_length_a 7.966
_cell_length_b 10.099
_cell_length_c 10.169
_cell_angle_alpha 93.99
_cell_angle_beta 106.68
_cell_angle_gamma 105.96
_space_group_name_H-M_alt 'P -1'
_space_group_IT_number 2
loop_
_space_group_symop_operation_xyz
'x,y,z'
'-x,-y,-z'
loop_
_atom_site_label
_atom_site_fract_x
_atom_site_fract_y
_atom_site_fract_z
_atom_site_occupancy
K1 0.000 0.000 0.000 1
K2 0.143 0.887 0.567 1
K3 0.248 0.475 0.527 1
K4 0.283 0.775 0.238 1
K5 0.500 0.000 0.000 1
Co1 0.333 0.442 0.133 1
Mo1 0.116 0.610 0.848 1
Mo2 0.271 0.266 0.820 1
Mo3 0.377 0.183 0.361 1
O1 0.059 0.269 0.701 1
O2 0.106 0.631 0.673 1
O3 0.113 0.493 0.154 1
O4 0.182 0.778 0.950 1
O5 0.202 0.130 0.441 1
O6 0.265 0.272 0.999 1
O7 0.286 0.524 0.919 1
O8 0.289 0.096 0.787 1
O9 0.333 0.053 0.215 1
O10 0.381 0.355 0.312 1
O11 0.405 0.796 0.513 1
O12 0.468 0.379 0.781 1
```

Output
Uncorrected energy = -0.231 Ha/atom
Energy with MP2020 corrections = -7.2726 eV per atom

=====

A plane-wave DFT calculation with GGA+U was carried out for a geometry-optimized LiV2O3F structure.

CIF file:
```
data_LiV2O3F
_cell_length_a 10.395
_cell_length_b 6.017
_cell_length_c 6.022
_cell_angle_alpha 90.00
_cell_angle_beta 124.43
_cell_angle_gamma 90.00
_space_group_name_H-M_alt 'C 1 m 1'
_space_group_IT_number 8
loop_
_space_group_symop_operation_xyz
'x,y,z'
'x,-y,z'
'x+1/2,y+1/2,z'
'x+1/2,-y+1/2,z'
loop_
_atom_site_label
_atom_site_fract_x
_atom_site_fract_y
_atom_site_fract_z
_atom_site_occupancy
Li1 0.000 0.000 0.000 1
Li2 0.142 0.500 0.412 1
V1 0.142 0.500 0.887 1
V2 0.266 0.000 0.785 1
V3 0.396 0.262 0.406 1
O1 0.131 0.260 0.647 1
O2 0.371 0.500 0.145 1
O3 0.379 0.500 0.605 1
O4 0.385 0.000 0.175 1
O5 0.402 0.000 0.652 1
F1 0.145 0.263 0.150 1
```

Output
Uncorrected energy = -0.259 Ha/atom
E above lowest polymorph = 0.204 kcal/mol of atoms
Energy with MP2020 corrections = -7.8934 eV per atom

=====

Energy of formation from the pure elements (computed, eV per atom): -3.035 -1.959 -2.203 -2.731 -1.973 -1.385 -2.919 -1.374 -0.747 -2.100 -2.631